(1)
## CaFe3Si2O9 (GGA+U)

Data for a geometry-optimized CaFe3Si2O9 structure.

Calculated values
energy relative to the lowest polymorph listed for this composition = 0.000 eV per atom

```
CaFe3Si2O9
1.0
13.170 0.000 0.000
0.000 5.931 0.000
0.000 0.000 8.853
Ca Fe Si O
4 12 8 36
direct
0.183 0.250 0.128
0.317 0.750 0.628
0.683 0.250 0.372
0.817 0.750 0.872
0.067 0.750 0.762
0.112 0.004 0.444
0.112 0.496 0.444
0.388 0.504 0.944
0.388 0.996 0.944
0.433 0.250 0.262
0.567 0.750 0.738
0.612 0.004 0.056
0.612 0.496 0.056
0.888 0.504 0.556
0.888 0.996 0.556
0.933 0.250 0.238
0.034 0.750 0.133
0.185 0.250 0.766
0.315 0.750 0.266
0.466 0.250 0.633
0.534 0.750 0.367
0.685 0.250 0.734
0.815 0.750 0.234
0.966 0.250 0.867
0.015 0.750 0.525
0.058 0.518 0.231
0.058 0.982 0.231
0.092 0.250 0.893
0.092 0.750 0.977
0.174 0.018 0.664
0.174 0.482 0.664
0.192 0.250 0.384
0.216 0.750 0.386
0.284 0.250 0.886
0.308 0.750 0.884
0.326 0.518 0.164
0.326 0.982 0.164
0.408 0.250 0.477
0.408 0.750 0.393
0.442 0.018 0.731
0.442 0.482 0.731
0.485 0.250 0.025
0.515 0.750 0.975
0.558 0.518 0.269
0.558 0.982 0.269
0.592 0.250 0.607
0.592 0.750 0.523
0.674 0.018 0.836
0.674 0.482 0.836
0.692 0.250 0.116
0.716 0.750 0.114
0.784 0.250 0.614
0.808 0.750 0.616
0.826 0.518 0.336
0.826 0.982 0.336
0.908 0.250 0.023
0.908 0.750 0.107
0.942 0.018 0.769
0.942 0.482 0.769
0.985 0.250 0.475
```

---

(2)
## Ca3Fe2Si3O12 (GGA+U)

Data for a geometry-optimized Ca3Fe2Si3O12 structure.

```
Ca3Fe2Si3O12
1.0
-6.097 6.097 6.097
6.097 -6.097 6.097
6.097 6.097 -6.097
Ca Fe Si O
12 8 12 48
direct
0.125 0.250 0.375
0.125 0.375 0.750
0.250 0.375 0.125
0.250 0.875 0.625
0.375 0.125 0.250
0.375 0.750 0.125
0.625 0.250 0.875
0.625 0.875 0.750
0.750 0.125 0.375
0.750 0.625 0.875
0.875 0.625 0.250
0.875 0.750 0.625
0.000 0.000 0.000
0.000 0.000 0.500
0.000 0.500 0.000
0.000 0.500 0.500
0.500 0.000 0.000
0.500 0.000 0.500
0.500 0.500 0.000
0.500 0.500 0.500
0.125 0.750 0.875
0.125 0.875 0.250
0.250 0.125 0.875
0.250 0.625 0.375
0.375 0.250 0.625
0.375 0.625 0.750
0.625 0.375 0.250
0.625 0.750 0.375
0.750 0.375 0.625
0.750 0.875 0.125
0.875 0.125 0.750
0.875 0.250 0.125
0.009 0.204 0.117
0.009 0.305 0.893
0.088 0.704 0.695
0.088 0.883 0.393
0.107 0.617 0.412
0.107 0.991 0.695
0.117 0.009 0.204
0.117 0.607 0.912
0.195 0.204 0.588
0.195 0.491 0.607
0.204 0.117 0.009
0.204 0.588 0.195
0.296 0.305 0.912
0.296 0.491 0.383
0.305 0.893 0.009
0.305 0.912 0.296
0.383 0.296 0.491
0.383 0.588 0.893
0.393 0.088 0.883
0.393 0.805 0.509
0.412 0.107 0.617
0.412 0.805 0.796
0.491 0.383 0.296
0.491 0.607 0.195
0.509 0.393 0.805
0.509 0.617 0.704
0.588 0.195 0.204
0.588 0.893 0.383
0.607 0.195 0.491
0.607 0.912 0.117
0.617 0.412 0.107
0.617 0.704 0.509
0.695 0.088 0.704
0.695 0.107 0.991
0.704 0.509 0.617
0.704 0.695 0.088
0.796 0.412 0.805
0.796 0.883 0.991
0.805 0.509 0.393
0.805 0.796 0.412
0.883 0.393 0.088
0.883 0.991 0.796
0.893 0.009 0.305
0.893 0.383 0.588
0.912 0.117 0.607
0.912 0.296 0.305
0.991 0.695 0.107
0.991 0.796 0.883
```

---

(3)
## CaFeSi2O6 (GGA+U)

Data for a geometry-optimized CaFeSi2O6 structure.

Calculated values
energy relative to the lowest polymorph listed for this composition = 0.000 eV per atom

```
CaFeSi2O6
1.0
-4.896 -1.665 -1.309
-5.299 0.473 8.438
-2.396 8.609 -1.987
Si O Fe Ca
8 24 4 4
direct
0.237 0.712 0.092
0.237 0.212 0.592
0.737 0.712 0.908
0.763 0.288 0.908
0.263 0.788 0.592
0.263 0.288 0.092
0.737 0.212 0.408
0.763 0.788 0.408
0.175 0.365 0.245
0.501 0.651 0.983
0.325 0.635 0.245
0.999 0.349 0.983
0.675 0.365 0.755
0.846 0.119 0.909
0.501 0.151 0.483
0.846 0.619 0.409
0.654 0.381 0.409
0.499 0.849 0.517
0.825 0.135 0.255
0.675 0.865 0.255
0.999 0.849 0.483
0.154 0.881 0.091
0.825 0.635 0.755
0.654 0.881 0.909
0.346 0.119 0.091
0.499 0.349 0.017
0.001 0.651 0.017
0.346 0.619 0.591
0.325 0.135 0.745
0.154 0.381 0.591
0.001 0.151 0.517
0.175 0.865 0.745
0.750 0.500 0.592
0.750 0.000 0.092
0.250 0.500 0.408
0.250 0.000 0.908
0.750 0.500 0.202
0.250 0.000 0.298
0.250 0.500 0.798
0.750 0.000 0.702
```

---

(4)
## Ca2Fe3Si3O14 (GGA+U)

Data for a geometry-optimized Ca2Fe3Si3O14 structure.

```
Ca2Fe3Si3O14
1.0
10.026 -3.018 0.000
10.026 3.018 0.000
-0.991 0.000 8.732
Ca Fe Si O
4 6 6 28
direct
0.154 0.154 0.174
0.340 0.340 0.253
0.660 0.660 0.747
0.846 0.846 0.826
0.000 0.500 0.500
0.239 0.748 0.255
0.252 0.761 0.745
0.500 0.000 0.500
0.748 0.239 0.255
0.761 0.252 0.745
0.098 0.098 0.536
0.253 0.253 0.839
0.408 0.408 0.943
0.592 0.592 0.057
0.747 0.747 0.161
0.902 0.902 0.464
0.023 0.483 0.734
0.035 0.035 0.862
0.045 0.045 0.378
0.137 0.690 0.364
0.174 0.174 0.475
0.193 0.193 0.945
0.202 0.651 0.856
0.306 0.306 0.497
0.310 0.863 0.636
0.326 0.326 0.957
0.349 0.798 0.144
0.441 0.441 0.124
0.476 0.476 0.629
0.483 0.023 0.734
0.517 0.977 0.266
0.524 0.524 0.371
0.559 0.559 0.876
0.651 0.202 0.856
0.674 0.674 0.043
0.690 0.137 0.364
0.694 0.694 0.503
0.798 0.349 0.144
0.807 0.807 0.055
0.826 0.826 0.525
0.863 0.310 0.636
0.955 0.955 0.622
0.965 0.965 0.138
0.977 0.517 0.266
```

---

(5)
## CaFe3Si2O9 (GGA+U)

Data for a geometry-optimized CaFe3Si2O9 structure.

Calculated values
energy relative to the lowest polymorph listed for this composition = 0.208 eV per atom

```
CaFe3Si2O9
1.0
17.873 0.000 0.000
0.000 6.603 0.000
0.000 0.000 8.397
Ca Fe Si O
4 12 8 36
direct
0.056 0.250 0.013
0.444 0.750 0.513
0.556 0.250 0.487
0.944 0.750 0.987
0.124 0.051 0.363
0.124 0.449 0.363
0.230 0.750 0.574
0.270 0.250 0.074
0.376 0.551 0.863
0.376 0.949 0.863
0.624 0.051 0.137
0.624 0.449 0.137
0.730 0.750 0.926
0.770 0.250 0.426
0.876 0.551 0.637
0.876 0.949 0.637
0.084 0.750 0.177
0.223 0.750 0.938
0.277 0.250 0.438
0.416 0.250 0.677
0.584 0.750 0.323
0.723 0.750 0.562
0.777 0.250 0.062
0.916 0.250 0.823
0.037 0.545 0.146
0.037 0.955 0.146
0.071 0.250 0.469
0.110 0.750 0.370
0.156 0.250 0.196
0.166 0.750 0.090
0.176 0.750 0.774
0.225 0.040 0.460
0.225 0.460 0.460
0.275 0.540 0.960
0.275 0.960 0.960
0.324 0.250 0.274
0.334 0.250 0.590
0.344 0.750 0.696
0.390 0.250 0.870
0.429 0.750 0.969
0.463 0.045 0.646
0.463 0.455 0.646
0.537 0.545 0.354
0.537 0.955 0.354
0.571 0.250 0.031
0.610 0.750 0.130
0.656 0.250 0.304
0.666 0.750 0.410
0.676 0.750 0.726
0.725 0.040 0.040
0.725 0.460 0.040
0.775 0.540 0.540
0.775 0.960 0.540
0.824 0.250 0.226
0.834 0.250 0.910
0.844 0.750 0.804
0.890 0.250 0.630
0.929 0.750 0.531
0.963 0.045 0.854
0.963 0.455 0.854
```

---

(6)
## CaFeSi2O6 (GGA+U)

Data for a geometry-optimized CaFeSi2O6 structure.

Calculated values
energy relative to the lowest polymorph listed for this composition = 0.033 eV per atom

```
CaFeSi2O6
1.0
5.474 0.000 0.000
0.000 19.047 0.000
0.000 0.000 9.849
Ca Fe Si O
8 8 16 48
direct
0.109 0.122 0.145
0.109 0.378 0.645
0.391 0.622 0.145
0.391 0.878 0.645
0.609 0.122 0.355
0.609 0.378 0.855
0.891 0.622 0.355
0.891 0.878 0.855
0.114 0.127 0.505
0.114 0.373 0.005
0.386 0.627 0.505
0.386 0.873 0.005
0.614 0.127 0.995
0.614 0.373 0.495
0.886 0.627 0.995
0.886 0.873 0.495
0.063 0.726 0.667
0.063 0.774 0.167
0.247 0.026 0.830
0.247 0.474 0.330
0.253 0.526 0.830
0.253 0.974 0.330
0.437 0.226 0.667
0.437 0.274 0.167
0.563 0.726 0.833
0.563 0.774 0.333
0.747 0.026 0.670
0.747 0.474 0.170
0.753 0.526 0.670
0.753 0.974 0.170
0.937 0.226 0.833
0.937 0.274 0.333
0.040 0.546 0.714
0.040 0.954 0.214
0.047 0.689 0.157
0.047 0.811 0.657
0.085 0.685 0.522
0.085 0.815 0.022
0.180 0.200 0.746
0.180 0.300 0.246
0.184 0.570 0.966
0.184 0.930 0.466
0.249 0.060 0.345
0.249 0.440 0.845
0.251 0.560 0.345
0.251 0.940 0.845
0.316 0.070 0.966
0.316 0.430 0.466
0.320 0.700 0.746
0.320 0.800 0.246
0.415 0.185 0.522
0.415 0.315 0.022
0.453 0.189 0.157
0.453 0.311 0.657
0.460 0.046 0.714
0.460 0.454 0.214
0.540 0.546 0.786
0.540 0.954 0.286
0.547 0.689 0.343
0.547 0.811 0.843
0.585 0.685 0.978
0.585 0.815 0.478
0.680 0.200 0.754
0.680 0.300 0.254
0.684 0.570 0.534
0.684 0.930 0.034
0.749 0.060 0.155
0.749 0.440 0.655
0.751 0.560 0.155
0.751 0.940 0.655
0.816 0.070 0.534
0.816 0.430 0.034
0.820 0.700 0.754
0.820 0.800 0.254
0.915 0.185 0.978
0.915 0.315 0.478
0.953 0.189 0.343
0.953 0.311 0.843
0.960 0.046 0.786
0.960 0.454 0.286
```

---

| no. | total energy (eV/atom) |
| --- | --- |
| 1 | -7.182 |
| 2 | -7.308 |
| 3 | -7.475 |
| 4 | -6.971 |
| 5 | -6.975 |
| 6 | -7.442 |